The following is a DFT calculation (meta-GGA r2SCAN) of HoCo3P2 after structural relaxation.

Results
**Calculated total energy**: -16.002 eV per atom
**Symmetry**: Pmmn

Cell lengths 3.672, 10.400, 12.072 Å; angles 90.00, 90.00, 90.00 degrees
Positions (direct):
Ho1 0.000 0.500 0.522
Ho2 0.500 0.000 0.478
Ho3 0.500 0.818 0.206
Ho4 0.500 0.182 0.206
Ho5 0.000 0.682 0.794
Ho6 0.000 0.318 0.794
Co1 0.000 0.500 0.987
Co2 0.500 0.000 0.013
Co3 0.500 0.297 0.431
Co4 0.500 0.703 0.431
Co5 0.000 0.203 0.569
Co6 0.000 0.797 0.569
Co7 0.500 0.880 0.710
Co8 0.500 0.120 0.710
Co9 0.000 0.620 0.290
Co10 0.000 0.380 0.290
Co11 0.500 0.333 0.995
Co12 0.500 0.667 0.995
Co13 0.000 0.167 0.005
Co14 0.000 0.833 0.005
Co15 0.500 0.500 0.156
Co16 0.000 0.000 0.844
Co17 0.500 0.500 0.703
Co18 0.000 0.000 0.297
P1 0.500 0.311 0.616
P2 0.500 0.689 0.616
P3 0.000 0.189 0.384
P4 0.000 0.811 0.384
P5 0.500 0.500 0.882
P6 0.000 0.000 0.118
P7 0.500 0.846 0.893
P8 0.500 0.154 0.893
P9 0.000 0.654 0.107
P10 0.000 0.346 0.107
P11 0.500 0.500 0.344
P12 0.000 0.000 0.656

=====

The following is a DFT calculation (meta-GGA r2SCAN) of Ag2Br3 after structural relaxation.

Results
**Calculated total energy**: -16.869 eV per atom
**Symmetry**: R-3c

Cell lengths 6.939, 6.939, 7.493 Å; angles 117.55, 62.45, 119.99 degrees
Positions (direct):
Ag1 0.660 0.340 0.019
Ag2 0.840 0.160 0.481
Ag3 0.160 0.840 0.519
Ag4 0.340 0.660 0.981
Br1 0.250 0.072 0.250
Br2 0.928 0.428 0.250
Br3 0.572 0.750 0.250
Br4 0.428 0.250 0.750
Br5 0.072 0.572 0.750
Br6 0.750 0.928 0.750

=====

The following is a DFT calculation (meta-GGA r2SCAN) of BiB3O6 after structural relaxation.

Results
**Energy above the most stable polymorph in this dataset**: 0.005 eV/atom
**Calculated total energy**: -13.962 eV per atom
**Symmetry**: P2_1/c

Cell lengths 11.715, 4.260, 7.258 Å; angles 88.92, 90.00, 90.00 degrees
Positions (direct):
Bi1 0.615 0.165 0.630
Bi2 0.115 0.835 0.870
Bi3 0.885 0.165 0.130
Bi4 0.385 0.835 0.370
B1 0.093 0.802 0.369
B2 0.162 0.320 0.207
B3 0.125 0.311 0.567
B4 0.338 0.320 0.707
B5 0.407 0.802 0.869
B6 0.625 0.689 0.933
B7 0.662 0.680 0.293
B8 0.875 0.689 0.433
B9 0.907 0.198 0.631
B10 0.593 0.198 0.131
B11 0.375 0.311 0.067
B12 0.838 0.680 0.793
O1 0.841 0.342 0.773
O2 0.884 0.355 0.457
O3 0.420 0.232 0.561
O4 0.080 0.232 0.061
O5 0.778 0.788 0.322
O6 0.384 0.645 0.043
O7 0.616 0.355 0.957
O8 0.659 0.342 0.273
O9 0.580 0.768 0.439
O10 0.471 0.193 0.180
O11 0.159 0.658 0.227
O12 0.373 0.150 0.884
O13 0.116 0.645 0.543
O14 0.529 0.807 0.820
O15 0.971 0.807 0.320
O16 0.920 0.768 0.939
O17 0.278 0.212 0.178
O18 0.873 0.850 0.616
O19 0.029 0.193 0.680
O20 0.722 0.788 0.822
O21 0.341 0.658 0.727
O22 0.222 0.212 0.678
O23 0.127 0.150 0.384
O24 0.627 0.850 0.116

=====

The following is a DFT calculation (meta-GGA r2SCAN) of PuSe after structural relaxation.

Results
**Calculated total energy**: -52.257 eV per atom
**Symmetry**: Fm-3m

Cell lengths 4.161, 4.161, 4.161 Å; angles 60.00, 60.00, 60.00 degrees
Positions (direct):
Pu1 0.000 0.000 0.000
Se1 0.500 0.500 0.500

=====

The following is a DFT calculation (meta-GGA r2SCAN) of NaPd3 after structural relaxation.

Results
**Calculated total energy**: -18.111 eV per atom
**Symmetry**: I4/mmm

Cell lengths 4.891, 4.891, 4.891 Å; angles 132.24, 132.24, 69.84 degrees
Positions (direct):
Na1 0.000 0.000 0.000
Pd1 0.750 0.250 0.500
Pd2 0.250 0.750 0.500
Pd3 0.500 0.500 0.000

=====

The following is a DFT calculation (meta-GGA r2SCAN) of NbCl3O after structural relaxation.

Results
**Calculated total energy**: -11.605 eV per atom
**Symmetry**: P4_2/mnm

Cell lengths 11.232, 11.232, 3.838 Å; angles 90.00, 90.00, 90.00 degrees
Positions (direct):
Nb1 0.875 0.875 0.000
Nb2 0.375 0.625 0.500
Nb3 0.625 0.375 0.500
Nb4 0.125 0.125 0.000
Cl1 0.896 0.104 0.000
Cl2 0.604 0.604 0.500
Cl3 0.396 0.396 0.500
Cl4 0.104 0.896 0.000
Cl5 0.104 0.328 0.000
Cl6 0.828 0.396 0.500
Cl7 0.172 0.604 0.500
Cl8 0.896 0.672 0.000
Cl9 0.396 0.828 0.500
Cl10 0.604 0.172 0.500
Cl11 0.328 0.104 0.000
Cl12 0.672 0.896 0.000
O1 0.389 0.611 0.000
O2 0.111 0.111 0.500
O3 0.889 0.889 0.500
O4 0.611 0.389 0.000

=====

The following is a DFT calculation (meta-GGA r2SCAN) of LiPr6B3O14 after structural relaxation.

Results
**Calculated total energy**: -15.183 eV per atom
**Symmetry**: P2_1/c

Cell lengths 16.108, 8.758, 12.450 Å; angles 48.03, 90.00, 90.00 degrees
Positions (direct):
Li1 0.609 0.891 0.441
Li2 0.391 0.109 0.559
Li3 0.109 0.109 0.059
Li4 0.891 0.891 0.941
Pr1 0.823 0.560 0.303
Pr2 0.177 0.440 0.697
Pr3 0.323 0.440 0.197
Pr4 0.677 0.560 0.803
Pr5 0.324 0.983 0.053
Pr6 0.676 0.017 0.947
Pr7 0.824 0.017 0.447
Pr8 0.176 0.983 0.553
Pr9 0.358 0.839 0.426
Pr10 0.642 0.161 0.574
Pr11 0.858 0.161 0.074
Pr12 0.142 0.839 0.926
Pr13 0.515 0.665 0.283
Pr14 0.485 0.335 0.717
Pr15 0.015 0.335 0.217
Pr16 0.985 0.665 0.783
Pr17 0.505 0.233 0.065
Pr18 0.495 0.767 0.935
Pr19 0.005 0.767 0.435
Pr20 0.995 0.233 0.565
Pr21 0.665 0.412 0.168
Pr22 0.335 0.588 0.832
Pr23 0.165 0.588 0.332
Pr24 0.835 0.412 0.668
B1 0.828 0.547 0.025
B2 0.172 0.453 0.975
B3 0.328 0.453 0.475
B4 0.672 0.547 0.525
B5 0.000 0.798 0.142
B6 0.000 0.202 0.858
B7 0.500 0.202 0.358
B8 0.500 0.798 0.642
B9 0.695 0.960 0.223
B10 0.305 0.040 0.777
B11 0.195 0.040 0.277
B12 0.805 0.960 0.723
O1 0.752 0.892 0.178
O2 0.248 0.108 0.822
O3 0.252 0.108 0.322
O4 0.748 0.892 0.678
O5 0.467 0.695 0.603
O6 0.533 0.305 0.397
O7 0.967 0.305 0.897
O8 0.033 0.695 0.103
O9 0.422 0.931 0.219
O10 0.578 0.069 0.781
O11 0.922 0.069 0.281
O12 0.078 0.931 0.719
O13 0.919 0.860 0.114
O14 0.081 0.140 0.886
O15 0.419 0.140 0.386
O16 0.581 0.860 0.614
O17 0.910 0.512 0.013
O18 0.090 0.488 0.987
O19 0.410 0.488 0.487
O20 0.590 0.512 0.513
O21 0.803 0.648 0.069
O22 0.197 0.352 0.931
O23 0.303 0.352 0.431
O24 0.697 0.648 0.569
O25 0.449 0.836 0.712
O26 0.551 0.164 0.288
O27 0.949 0.164 0.788
O28 0.051 0.836 0.212
O29 0.599 0.705 0.104
O30 0.401 0.295 0.896
O31 0.099 0.295 0.396
O32 0.901 0.705 0.604
O33 0.912 0.529 0.463
O34 0.088 0.471 0.537
O35 0.412 0.471 0.037
O36 0.588 0.529 0.963
O37 0.414 0.715 0.121
O38 0.586 0.285 0.879
O39 0.914 0.285 0.379
O40 0.086 0.715 0.621
O41 0.233 0.717 0.122
O42 0.767 0.283 0.878
O43 0.733 0.283 0.378
O44 0.267 0.717 0.622
O45 0.225 0.945 0.229
O46 0.775 0.055 0.771
O47 0.725 0.055 0.271
O48 0.275 0.945 0.729
O49 0.612 0.944 0.206
O50 0.388 0.056 0.794
O51 0.112 0.056 0.294
O52 0.888 0.944 0.706
O53 0.768 0.458 0.003
O54 0.232 0.542 0.997
O55 0.268 0.542 0.497
O56 0.732 0.458 0.503

=====

The following is a DFT calculation (meta-GGA r2SCAN) of GdZnGa after structural relaxation.

Results
**Calculated total energy**: -21.858 eV per atom
**Symmetry**: P6_3/mmc

Cell lengths 4.394, 4.394, 7.353 Å; angles 90.00, 90.00, 120.00 degrees
Positions (direct):
Gd1 0.000 0.000 0.500
Gd2 0.000 0.000 0.000
Zn1 0.333 0.667 0.750
Zn2 0.667 0.333 0.250
Ga1 0.333 0.667 0.250
Ga2 0.667 0.333 0.750

=====

The following is a DFT calculation (meta-GGA r2SCAN) of RuXeF7 after structural relaxation.

Results
**Calculated total energy**: -9.333 eV per atom
**Symmetry**: P2_1/c

Cell lengths 11.390, 6.873, 10.429 Å; angles 49.63, 90.00, 90.00 degrees
Positions (direct):
Ru1 0.966 0.464 0.754
Ru2 0.466 0.536 0.746
Ru3 0.034 0.536 0.246
Ru4 0.534 0.464 0.254
Xe1 0.777 0.914 0.757
Xe2 0.277 0.086 0.743
Xe3 0.223 0.086 0.243
Xe4 0.723 0.914 0.257
F1 0.654 0.507 0.116
F2 0.154 0.493 0.384
F3 0.346 0.493 0.884
F4 0.846 0.507 0.616
F5 0.419 0.429 0.394
F6 0.919 0.571 0.106
F7 0.581 0.571 0.606
F8 0.081 0.429 0.894
F9 0.648 0.031 0.820
F10 0.148 0.969 0.680
F11 0.352 0.969 0.180
F12 0.852 0.031 0.320
F13 0.927 0.805 0.679
F14 0.427 0.195 0.821
F15 0.073 0.195 0.321
F16 0.573 0.805 0.179
F17 0.003 0.149 0.820
F18 0.503 0.851 0.680
F19 0.997 0.851 0.180
F20 0.497 0.149 0.320
F21 0.073 0.626 0.578
F22 0.573 0.374 0.922
F23 0.927 0.374 0.422
F24 0.427 0.626 0.078
F25 0.855 0.331 0.924
F26 0.355 0.669 0.576
F27 0.145 0.669 0.076
F28 0.645 0.331 0.424

=====

The following is a DFT calculation (meta-GGA r2SCAN) of Nb6SI9 after structural relaxation.

Results
**Calculated total energy**: -24.282 eV per atom
**Symmetry**: P-1

Cell lengths 10.357, 10.816, 11.971 Å; angles 106.07, 104.71, 112.83 degrees
Positions (direct):
Nb1 0.611 0.738 0.040
Nb2 0.102 0.975 0.674
Nb3 0.984 0.148 0.590
Nb4 0.766 0.846 0.472
Nb5 0.016 0.852 0.410
Nb6 0.479 0.559 0.185
Nb7 0.321 0.485 0.928
Nb8 0.898 0.025 0.326
Nb9 0.234 0.154 0.528
Nb10 0.389 0.262 0.960
Nb11 0.679 0.515 0.072
Nb12 0.521 0.441 0.815
S1 0.259 0.244 0.749
S2 0.741 0.756 0.251
I1 0.322 0.941 0.575
I2 0.575 0.348 0.219
I3 0.107 0.334 0.464
I4 0.174 0.312 0.056
I5 0.826 0.688 0.944
I6 0.243 0.948 0.902
I7 0.893 0.666 0.536
I8 0.543 0.356 0.572
I9 0.994 0.583 0.228
I10 0.757 0.052 0.098
I11 0.369 0.749 0.117
I12 0.678 0.059 0.425
I13 0.006 0.417 0.772
I14 0.857 0.996 0.739
I15 0.457 0.644 0.428
I16 0.143 0.004 0.261
I17 0.425 0.652 0.781
I18 0.631 0.251 0.883

=====

The following is a DFT calculation (meta-GGA r2SCAN) of Y4MgRh after structural relaxation.

Results
**Calculated total energy**: -18.660 eV per atom
**Symmetry**: F-43m

Cell lengths 9.752, 9.751, 9.751 Å; angles 60.00, 60.00, 60.00 degrees
Positions (direct):
Y1 0.596 0.596 0.596
Y2 0.596 0.596 0.213
Y3 0.596 0.213 0.596
Y4 0.213 0.596 0.596
Y5 0.062 0.438 0.438
Y6 0.438 0.062 0.062
Y7 0.438 0.062 0.438
Y8 0.062 0.438 0.062
Y9 0.438 0.438 0.062
Y10 0.062 0.062 0.438
Y11 0.186 0.814 0.814
Y12 0.814 0.186 0.186
Y13 0.814 0.186 0.814
Y14 0.186 0.814 0.186
Y15 0.814 0.814 0.186
Y16 0.186 0.186 0.814
Mg1 0.829 0.829 0.829
Mg2 0.829 0.829 0.513
Mg3 0.829 0.513 0.829
Mg4 0.513 0.829 0.829
Rh1 0.391 0.391 0.391
Rh2 0.391 0.391 0.826
Rh3 0.391 0.826 0.391
Rh4 0.826 0.391 0.391

=====

The following is a DFT calculation (meta-GGA r2SCAN) of Sm3Rh after structural relaxation.

Results
**Calculated total energy**: -28.828 eV per atom
**Symmetry**: Pnma

Cell lengths 6.421, 7.230, 9.834 Å; angles 90.00, 90.00, 90.00 degrees
Positions (direct):
Sm1 0.326 0.672 0.066
Sm2 0.174 0.172 0.434
Sm3 0.674 0.328 0.566
Sm4 0.826 0.828 0.934
Sm5 0.674 0.328 0.934
Sm6 0.826 0.828 0.566
Sm7 0.326 0.672 0.434
Sm8 0.174 0.172 0.066
Sm9 0.856 0.538 0.250
Sm10 0.644 0.038 0.250
Sm11 0.144 0.462 0.750
Sm12 0.356 0.962 0.750
Rh1 0.063 0.878 0.250
Rh2 0.437 0.378 0.250
Rh3 0.937 0.122 0.750
Rh4 0.563 0.622 0.750